(1)
Density functional theory data (PBE-GGA) for crystalline Er7Ni2Te2 at its relaxed geometry.

Computed properties:
The formation energy is -0.745 eV per atom. Its MP2020-corrected energy is -5.274 eV/atom. Its symmetry is No. 44.

a = 9.2848 Å, b = 9.2848 Å, c = 9.2848 Å
α = 156.20°, β = 67.06°, γ = 118.35°
Atoms (fractional coordinates):
Er: 0.0000 0.0000 0.0000
Er: 0.2848 0.4183 0.8665
Er: 0.3069 0.6217 0.6851
Er: 0.5518 0.4183 0.1335
Er: 0.6249 0.2714 0.3535
Er: 0.9179 0.2714 0.6465
Er: 0.9366 0.6217 0.3149
Ni: 0.1657 0.9286 0.2371
Ni: 0.6916 0.9286 0.7629
Te: 0.2653 0.7653 0.5000
Te: 0.6630 0.6630 0.0000

---

(2)
Density functional theory data (PBE-GGA) for crystalline ErNp3 at its relaxed geometry.

Computed properties:
The excess energy over the best structure of this formula in the dataset is 0.0 meV per atom. The formation energy is 0.646 eV per atom. Its symmetry is No. 139.

a = 4.5216 Å, b = 4.5216 Å, c = 9.0750 Å
α = 90.00°, β = 90.00°, γ = 90.00°
Atoms (fractional coordinates):
Er: 0.0000 0.0000 0.0000
Er: 0.5000 0.5000 0.5000
Np: 0.0000 0.0000 0.5000
Np: 0.0000 0.5000 0.2500
Np: 0.0000 0.5000 0.7500
Np: 0.5000 0.0000 0.2500
Np: 0.5000 0.0000 0.7500
Np: 0.5000 0.5000 0.0000

---

(3)
Density functional theory data (PBE-GGA) for crystalline ErNp3 at its relaxed geometry.

Computed properties:
The excess energy over the best structure of this formula in the dataset is 37.8 meV per atom. The formation energy is 0.684 eV per atom. Its symmetry is No. 221.

a = 4.6918 Å, b = 4.6918 Å, c = 4.6918 Å
α = 90.00°, β = 90.00°, γ = 90.00°
Atoms (fractional coordinates):
Er: 0.0000 0.0000 0.0000
Np: 0.0000 0.5000 0.5000
Np: 0.5000 0.0000 0.5000
Np: 0.5000 0.5000 0.0000

---

(4)
Density functional theory data (PBE-GGA) for crystalline ErO3 at its relaxed geometry.

Computed properties:
The formation energy is -2.077 eV per atom. Its MP2020-corrected energy is -6.930 eV/atom. Its symmetry is No. 176.

a = 6.4429 Å, b = 6.4429 Å, c = 3.3725 Å
α = 90.00°, β = 90.00°, γ = 120.00°
Atoms (fractional coordinates):
Er: 0.3333 0.6667 0.2500
Er: 0.6667 0.3333 0.7500
O: 0.0577 0.4225 0.7500
O: 0.3648 0.9423 0.7500
O: 0.4225 0.3648 0.2500
O: 0.5775 0.6352 0.7500
O: 0.6352 0.0577 0.2500
O: 0.9423 0.5775 0.2500

---

(5)
Density functional theory data (PBE-GGA) for crystalline ErO2 at its relaxed geometry.

Computed properties:
The formation energy is -3.200 eV per atom. Its MP2020-corrected energy is -8.021 eV/atom. Its symmetry is No. 11.

a = 4.1572 Å, b = 3.6077 Å, c = 6.1063 Å
α = 90.00°, β = 107.33°, γ = 90.00°
Atoms (fractional coordinates):
Er: 0.1711 0.2500 0.3142
Er: 0.8289 0.7500 0.6858
O: 0.1825 0.7500 0.0531
O: 0.2669 0.7500 0.5476
O: 0.7331 0.2500 0.4524
O: 0.8175 0.2500 0.9469

---

(6)
Density functional theory data (PBE-GGA) for crystalline Er2P4O13 at its relaxed geometry.

Computed properties:
The excess energy over the best structure of this formula in the dataset is 23.7 meV per atom. The formation energy is -3.135 eV per atom. Its MP2020-corrected energy is -8.141 eV/atom. Its symmetry is No. 15.

a = 6.8615 Å, b = 6.8615 Å, c = 12.9467 Å
α = 103.99°, β = 103.99°, γ = 59.00°
Atoms (fractional coordinates):
Er: 0.1916 0.1962 0.0511
Er: 0.1962 0.1916 0.5511
Er: 0.8038 0.8084 0.4489
Er: 0.8084 0.8038 0.9489
P: 0.2601 0.2731 0.3404
P: 0.2731 0.2601 0.8404
P: 0.3387 0.6377 0.1335
P: 0.3623 0.6613 0.3665
P: 0.6377 0.3387 0.6335
P: 0.6613 0.3623 0.8665
P: 0.7269 0.7399 0.1596
P: 0.7399 0.7269 0.6596
O: 0.0616 0.4260 0.4069
O: 0.0738 0.4245 0.9055
O: 0.1729 0.8170 0.0591
O: 0.1830 0.8271 0.4409
O: 0.1933 0.2048 0.2234
O: 0.2048 0.1933 0.7234
O: 0.2536 0.7464 0.2500
O: 0.3769 0.3971 0.1031
O: 0.3971 0.3769 0.6031
O: 0.3989 0.4075 0.3470
O: 0.4075 0.3989 0.8470
O: 0.4245 0.0738 0.4055
O: 0.4260 0.0616 0.9069
O: 0.5740 0.9384 0.0931
O: 0.5755 0.9262 0.5945
O: 0.5925 0.6011 0.1530
O: 0.6011 0.5925 0.6530
O: 0.6029 0.6231 0.3969
O: 0.6231 0.6029 0.8969
O: 0.7464 0.2536 0.7500
O: 0.7952 0.8067 0.2766
O: 0.8067 0.7952 0.7766
O: 0.8170 0.1729 0.5591
O: 0.8271 0.1830 0.9409
O: 0.9262 0.5755 0.0945
O: 0.9384 0.5740 0.5931

---

Question: What is the formula in the fifth record?
Answer: ErO2